1.
Si3O7: relaxed, GGA-PBE.

Lattice parameters (Å, degrees): 8.954 8.990 9.091 99.16 109.03 96.78
Space group P1 (No. 1)
One atom of each set of equivalent atoms:
Si (0.000, 0.000, 0.000) (multiplicity 1)
Si (0.079, 0.384, 0.359) (multiplicity 1)
Si (0.192, 0.631, 0.196) (multiplicity 1)
Si (0.288, 0.983, 0.293) (multiplicity 1)
Si (0.772, 0.224, 0.085) (multiplicity 1)
Si (0.896, 0.651, 0.907) (multiplicity 1)
O (0.007, 0.626, 0.082) (multiplicity 1)
O (0.101, 0.054, 0.896) (multiplicity 1)
O (0.108, 0.002, 0.185) (multiplicity 1)
O (0.138, 0.278, 0.474) (multiplicity 1)
O (0.183, 0.523, 0.325) (multiplicity 1)
O (0.283, 0.801, 0.300) (multiplicity 1)
O (0.289, 0.564, 0.083) (multiplicity 1)
O (0.358, 0.093, 0.473) (multiplicity 1)
O (0.432, 0.055, 0.240) (multiplicity 1)
O (0.725, 0.532, 0.835) (multiplicity 1)
O (0.881, 0.129, 0.009) (multiplicity 1)
O (0.882, 0.832, 0.921) (multiplicity 1)
O (0.889, 0.356, 0.241) (multiplicity 1)
O (0.966, 0.591, 0.767) (multiplicity 1)

Values from the calculation:
ΔH_f (0 K), eV per atom: -2.027
Offset from the most stable computed form, eV/f.u.: 3.18
V, Å³ per cell: 671.6
Electronic total energy, eV per formula unit: -66.372



2.
SnBi: relaxed, GGA-PBE.

Lattice parameters (Å, degrees): 3.942 5.506 5.553 90.00 90.00 90.00
Space group Cmmm (No. 65)
One atom of each set of equivalent atoms:
Sn (0.000, 0.000, 0.000) (multiplicity 2)
Bi (0.000, 0.500, 0.500) (multiplicity 2)

Values from the calculation:
ΔH_f (0 K), eV per atom: 0.095
V, Å³ per cell: 120.5
Electronic total energy, eV per formula unit: -7.709



3.
MgZn2Bi6Ru8O27: relaxed, GGA-PBE.

Lattice parameters (Å, degrees): 7.297 7.349 10.396 91.08 90.03 90.15
Space group P1 (No. 1)
One atom of each set of equivalent atoms:
Mg (0.000, 0.000, 0.000) (multiplicity 1)
Zn (0.223, 0.709, 0.038) (multiplicity 1)
Zn (0.377, 0.563, 0.742) (multiplicity 1)
Bi (0.194, 0.295, 0.515) (multiplicity 1)
Bi (0.431, 0.037, 0.767) (multiplicity 1)
Bi (0.665, 0.748, 0.005) (multiplicity 1)
Bi (0.688, 0.311, 0.533) (multiplicity 1)
Bi (0.909, 0.014, 0.284) (multiplicity 1)
Bi (0.951, 0.524, 0.254) (multiplicity 1)
Ru (0.193, 0.791, 0.509) (multiplicity 1)
Ru (0.211, 0.293, 0.010) (multiplicity 1)
Ru (0.432, 0.032, 0.255) (multiplicity 1)
Ru (0.445, 0.530, 0.270) (multiplicity 1)
Ru (0.686, 0.784, 0.519) (multiplicity 1)
Ru (0.701, 0.283, 0.013) (multiplicity 1)
Ru (0.942, 0.043, 0.748) (multiplicity 1)
Ru (0.948, 0.550, 0.764) (multiplicity 1)
O (0.139, 0.585, 0.630) (multiplicity 1)
O (0.155, 0.003, 0.629) (multiplicity 1)
O (0.158, 0.108, 0.866) (multiplicity 1)
O (0.186, 0.523, 0.889) (multiplicity 1)
O (0.236, 0.071, 0.122) (multiplicity 1)
O (0.236, 0.482, 0.148) (multiplicity 1)
O (0.236, 0.577, 0.389) (multiplicity 1)
O (0.248, 0.979, 0.384) (multiplicity 1)
O (0.434, 0.307, 0.672) (multiplicity 1)
O (0.436, 0.776, 0.174) (multiplicity 1)
O (0.436, 0.779, 0.607) (multiplicity 1)
O (0.438, 0.281, 0.333) (multiplicity 1)
O (0.457, 0.266, 0.953) (multiplicity 1)
O (0.634, 0.582, 0.398) (multiplicity 1)
O (0.635, 0.977, 0.385) (multiplicity 1)
O (0.652, 0.494, 0.140) (multiplicity 1)
O (0.658, 0.072, 0.140) (multiplicity 1)
O (0.728, 0.005, 0.634) (multiplicity 1)
O (0.743, 0.586, 0.644) (multiplicity 1)
O (0.764, 0.078, 0.895) (multiplicity 1)
O (0.777, 0.490, 0.905) (multiplicity 1)
O (0.934, 0.284, 0.389) (multiplicity 1)
O (0.937, 0.790, 0.439) (multiplicity 1)
O (0.942, 0.295, 0.676) (multiplicity 1)
O (0.946, 0.801, 0.831) (multiplicity 1)
O (0.950, 0.783, 0.106) (multiplicity 1)
O (0.953, 0.281, 0.091) (multiplicity 1)

Values from the calculation:
ΔH_f (0 K), eV per atom: -1.515
Offset from the most stable computed form, eV/f.u.: 0.00
V, Å³ per cell: 557.4
Electronic total energy, eV per formula unit: -283.381